Entry 1:
Entry from the Materials Project: a relaxed NdNi2Sn2 crystal (PBE).

abc: 6.1171 6.1171 6.1171
angles: 137.69 137.69 61.38
Last column: nearest neighbours and their distance in Å.
Fractional positions:
Nd: 0.0000 0.0000 0.0000  10 Sn 3.43-3.84, 8 Ni 3.43
Ni: 0.2500 0.7500 0.5000  4 Sn 2.52
Ni: 0.7500 0.2500 0.5000  4 Sn 2.52
Sn: 0.6353 0.6353 0.0000  4 Ni 2.52
Sn: 0.3647 0.3647 0.0000  4 Ni 2.52

**E**: -0.19659 hartree per atom
**Spin magnetization**: 0.0 μB/cell
**Calculated formation energy**: -0.480 eV per atom



Entry 2:
Entry from the Materials Project: a relaxed LiHf2Tc crystal (PBE).

abc: 4.6371 4.6371 4.6371
angles: 60.00 60.00 60.00
Last column: nearest neighbours and their distance in Å.
Fractional positions:
Li: 0.5000 0.5000 0.5000  8 Hf 2.84
Hf: 0.2500 0.2500 0.2500  4 Li 2.84, 4 Tc 2.84
Hf: 0.7500 0.7500 0.7500  4 Tc 2.84, 4 Li 2.84
Tc: 0.0000 0.0000 0.0000  8 Hf 2.84

**E**: -0.30418 hartree per atom
**Calculated formation energy**: -0.231 eV per atom



Entry 3:
Entry from the Materials Project: a relaxed BSbO3 crystal (PBE).

abc: 4.8460 6.0472 6.2209
angles: 80.97 68.56 66.61
Last column: nearest neighbours and their distance in Å.
Fractional positions:
B: 0.2706 0.9364 0.7077  3 O 1.38-1.40
B: 0.7294 0.0636 0.2923  3 O 1.38-1.40
Sb: 0.5494 0.2553 0.7659  3 O 2.00-2.05
Sb: 0.4506 0.7447 0.2341  3 O 2.00-2.05
O: 0.3165 0.7488 0.5824  1 B 1.38
O: 0.5196 0.9252 0.7785  1 B 1.40
O: 0.9975 0.1412 0.7679  1 B 1.38
O: 0.0025 0.8588 0.2321  1 B 1.38
O: 0.4804 0.0748 0.2215  1 B 1.40
O: 0.6835 0.2512 0.4176  1 B 1.38

**Total energy after the MP2020 corrections**: -73.6 eV per cell
**E**: -0.25523 hartree per atom
**Spin magnetization**: 0.0 μB/cell
**Calculated formation energy**: -2.227 eV per atom



Entry 4:
Entry from the Materials Project: a relaxed TaPbS2 crystal (PBE).

abc: 3.3748 3.3748 18.0334
angles: 90.00 90.00 120.00
Last column: nearest neighbours and their distance in Å.
Fractional positions:
Ta: 0.6667 0.3333 0.7500  6 S 2.49
Ta: 0.3333 0.6667 0.2500  6 S 2.49
Pb: 0.0000 0.0000 0.0000  2 S 2.96
Pb: 0.0000 0.0000 0.5000  2 S 2.96
S: 0.0000 0.0000 0.1642  3 Ta 2.49
S: 0.0000 0.0000 0.6642  3 Ta 2.49
S: 0.0000 0.0000 0.3358  3 Ta 2.49
S: 0.0000 0.0000 0.8358  3 Ta 2.49

**Total energy after the MP2020 corrections**: -56.7 eV per cell
**E**: -0.25108 hartree per atom
**Calculated formation energy**: -1.123 eV per atom



Entry 5:
Entry from the Materials Project: a relaxed TiSiOs crystal (PBE).

abc: 7.4024 7.4024 7.4024
angles: 127.86 122.60 81.22
Last column: nearest neighbours and their distance in Å.
Fractional positions:
Ti: 0.4475 0.4040 0.4565  5 Si 2.62-2.93, 6 Os 2.73-2.86
Ti: 0.5525 0.0091 0.9565  5 Si 2.62-2.93, 6 Os 2.73-2.86
Ti: 0.0275 0.0056 0.4781  5 Si 2.63-2.64, 2 Os 2.82
Ti: 0.9725 0.4506 0.9781  5 Si 2.63-2.64, 2 Os 2.82
Ti: 0.2468 0.5806 0.8338  5 Si 2.64-2.68, 4 Os 2.78-2.84
Ti: 0.7532 0.5871 0.3338  5 Si 2.64-2.68, 4 Os 2.78-2.84
Si: 0.2178 0.9608 0.2429  6 Os 2.41-2.49, 2 Ti 2.63-2.68
Si: 0.7822 0.0251 0.7429  6 Os 2.41-2.49, 2 Ti 2.63-2.68
Si: 0.1731 0.6719 0.5103  3 Os 2.47-2.48, 6 Ti 2.62-2.66
Si: 0.8269 0.3373 0.4988  3 Os 2.47-2.48, 6 Ti 2.62-2.66
Si: 0.6616 0.6719 0.9988  3 Os 2.47-2.48, 6 Ti 2.62-2.66
Si: 0.3384 0.3373 0.0103  3 Os 2.47-2.48, 6 Ti 2.62-2.66
Os: 0.0000 0.2551 0.2551  4 Si 2.48-2.49, 2 Ti 2.78
Os: 0.5000 0.2551 0.7551  4 Si 2.48-2.49, 2 Ti 2.78
Os: 0.4090 0.7499 0.4124  4 Si 2.41-2.47
Os: 0.5910 0.0034 0.3409  4 Si 2.41-2.47
Os: 0.8375 0.7499 0.8409  4 Si 2.41-2.47
Os: 0.1625 0.0034 0.9124  4 Si 2.41-2.47

**E**: -0.32963 hartree per atom
**Calculated formation energy**: -0.787 eV per atom



Entry 6:
Entry from the Materials Project: a relaxed Ca5Si2O10 crystal (PBE).

abc: 5.1146 9.0188 11.5296
angles: 109.22 90.00 90.00
Last column: nearest neighbours and their distance in Å.
Fractional positions:
Ca: 0.5000 0.0000 0.5000  6 O 2.36-2.41
Ca: 0.0000 0.0000 0.0000  6 O 2.36-2.41
Ca: 0.4992 0.1884 0.8311  6 O 2.32-2.52
Ca: 0.9992 0.8116 0.6689  6 O 2.32-2.52
Ca: 0.5008 0.8116 0.1689  6 O 2.32-2.52
Ca: 0.0008 0.1884 0.3311  6 O 2.32-2.52
Ca: 0.4983 0.4188 0.6191  6 O 2.31-2.45
Ca: 0.9983 0.5812 0.8809  6 O 2.31-2.45
Ca: 0.5017 0.5812 0.3809  6 O 2.31-2.45
Ca: 0.0017 0.4188 0.1191  6 O 2.31-2.45
Si: 0.0683 0.2005 0.6470  4 O 1.63-1.67
Si: 0.5683 0.7995 0.8530  4 O 1.63-1.67
Si: 0.9317 0.7995 0.3530  4 O 1.63-1.67
Si: 0.4317 0.2005 0.1470  4 O 1.63-1.67
O: 0.2018 0.2061 0.5168  1 Si 1.67
O: 0.7018 0.7939 0.9832  1 Si 1.67
O: 0.7982 0.7939 0.4832  1 Si 1.67
O: 0.2982 0.2061 0.0168  1 Si 1.67
O: 0.2009 0.0441 0.6695  1 Si 1.66
O: 0.7009 0.9559 0.8305  1 Si 1.66
O: 0.7991 0.9559 0.3305  1 Si 1.66
O: 0.2991 0.0441 0.1695  1 Si 1.66
O: 0.1959 0.3542 0.7554  1 Si 1.66
O: 0.6959 0.6458 0.7446  1 Si 1.66
O: 0.8041 0.6458 0.2446  1 Si 1.66
O: 0.3041 0.3542 0.2554  1 Si 1.66
O: 0.7489 0.2007 0.6465  1 Si 1.63
O: 0.2489 0.7993 0.8535  1 Si 1.63
O: 0.2511 0.7993 0.3535  1 Si 1.63
O: 0.7511 0.2007 0.1465  1 Si 1.63
O: 0.7707 0.3928 0.9389  3 Ca 2.32-2.33
O: 0.2707 0.6072 0.5611  3 Ca 2.32-2.33
O: 0.2293 0.6072 0.0611  3 Ca 2.32-2.33
O: 0.7293 0.3928 0.4389  3 Ca 2.32-2.33

**Total energy after the MP2020 corrections**: -248.9 eV per cell
**E**: -0.25418 hartree per atom
**Spin magnetization**: 4.0 μB/cell
**Calculated formation energy**: -3.182 eV per atom



Entry 7:
Entry from the Materials Project: a relaxed La9Mn5S21 crystal (PBE).

abc: 11.8249 11.8249 11.8249
angles: 97.82 97.82 97.82
Last column: nearest neighbours and their distance in Å.
Fractional positions:
La: 0.1197 0.8859 0.7507  7 S 2.89-3.11
La: 0.4558 0.2188 0.0796  8 S 2.88-3.15
La: 0.7819 0.5501 0.4132  7 S 2.89-3.13
La: 0.4132 0.7819 0.5501  7 S 2.89-3.13
La: 0.7507 0.1197 0.8859  7 S 2.89-3.11
La: 0.0796 0.4558 0.2188  8 S 2.88-3.15
La: 0.2188 0.0796 0.4558  8 S 2.88-3.15
La: 0.5501 0.4132 0.7819  7 S 2.89-3.13
La: 0.8859 0.7507 0.1197  7 S 2.89-3.11
La: 0.2182 0.4512 0.5870  7 S 2.87-3.12
La: 0.5477 0.7840 0.9236  8 S 2.88-3.14
La: 0.8823 0.1141 0.2502  7 S 2.91-3.14
La: 0.9236 0.5477 0.7840  8 S 2.88-3.14
La: 0.2502 0.8823 0.1141  7 S 2.91-3.14
La: 0.5870 0.2182 0.4512  7 S 2.87-3.12
La: 0.1141 0.2502 0.8823  7 S 2.91-3.14
La: 0.4512 0.5870 0.2182  7 S 2.87-3.12
La: 0.7840 0.9236 0.5477  8 S 2.88-3.14
Mn: 0.7195 0.3879 0.0531  4 S 2.21-2.26
Mn: 0.0531 0.7195 0.3879  4 S 2.21-2.26
Mn: 0.3879 0.0531 0.7195  4 S 2.21-2.26
Mn: 0.8869 0.2207 0.5531  4 S 2.21-2.27
Mn: 0.2207 0.5531 0.8869  4 S 2.21-2.27
Mn: 0.5531 0.8869 0.2207  4 S 2.21-2.27
Mn: 0.8465 0.8465 0.8465  6 S 2.44-2.57
Mn: 0.1665 0.1665 0.1665  6 S 2.44-2.57
Mn: 0.6664 0.6664 0.6664  6 S 2.44-2.57
Mn: 0.3464 0.3464 0.3464  6 S 2.45-2.56
S: 0.5448 0.3940 0.3098  1 Mn 2.45
S: 0.8795 0.7363 0.6540  2 Mn 2.57
S: 0.2221 0.0759 0.9890  1 Mn 2.44
S: 0.9890 0.2221 0.0759  1 Mn 2.44
S: 0.3098 0.5448 0.3940  1 Mn 2.45
S: 0.6540 0.8795 0.7363  2 Mn 2.57
S: 0.7363 0.6540 0.8795  2 Mn 2.57
S: 0.0759 0.9890 0.2221  1 Mn 2.44
S: 0.3940 0.3098 0.5448  1 Mn 2.45
S: 0.1340 0.2771 0.3587  2 Mn 2.56-2.57
S: 0.4692 0.6152 0.7022  1 Mn 2.44
S: 0.7880 0.9386 0.0222  1 Mn 2.44
S: 0.7022 0.4692 0.6152  1 Mn 2.44
S: 0.0222 0.7880 0.9386  1 Mn 2.44
S: 0.3587 0.1340 0.2771  2 Mn 2.56-2.57
S: 0.9386 0.0222 0.7880  1 Mn 2.44
S: 0.2771 0.3587 0.1340  2 Mn 2.56-2.57
S: 0.6152 0.7022 0.4692  1 Mn 2.44
S: 0.8449 0.5156 0.1793  1 Mn 2.21
S: 0.1793 0.8449 0.5156  1 Mn 2.21
S: 0.5156 0.1793 0.8449  1 Mn 2.21
S: 0.6791 0.0159 0.3453  1 Mn 2.21
S: 0.0159 0.3453 0.6791  1 Mn 2.21
S: 0.3453 0.6791 0.0159  1 Mn 2.21
S: 0.5469 0.4497 0.0281  1 Mn 2.26
S: 0.8814 0.7815 0.3654  1 Mn 2.25
S: 0.2133 0.1129 0.7008  1 Mn 2.26
S: 0.7008 0.2133 0.1129  1 Mn 2.26
S: 0.0281 0.5469 0.4497  1 Mn 2.26
S: 0.3654 0.8814 0.7815  1 Mn 2.25
S: 0.7815 0.3654 0.8814  1 Mn 2.25
S: 0.1129 0.7008 0.2133  1 Mn 2.26
S: 0.4497 0.0281 0.5469  1 Mn 2.26
S: 0.9714 0.0714 0.4836  1 Mn 2.26
S: 0.3042 0.4019 0.8196  1 Mn 2.26
S: 0.6382 0.7351 0.1553  1 Mn 2.27
S: 0.8196 0.3042 0.4019  1 Mn 2.26
S: 0.1553 0.6382 0.7351  1 Mn 2.27
S: 0.4836 0.9714 0.0714  1 Mn 2.26
S: 0.7351 0.1553 0.6382  1 Mn 2.27
S: 0.0714 0.4836 0.9714  1 Mn 2.26
S: 0.4019 0.8196 0.3042  1 Mn 2.26

**Total energy after the MP2020 corrections**: -475.5 eV per cell
**E**: -0.23853 hartree per atom
**Spin magnetization**: 0.4 μB/cell
**Calculated formation energy**: -1.733 eV per atom



Entry 8:
Entry from the Materials Project: a relaxed YN crystal (PBE).

abc: 3.7448 3.7448 3.7448
angles: 60.00 60.00 60.00
Last column: nearest neighbours and their distance in Å.
Fractional positions:
Y: 0.0000 0.0000 0.0000  4 N 2.29
N: 0.2500 0.2500 0.2500  4 Y 2.29

**Total energy after the MP2020 corrections**: -18.0 eV per cell
**Piezoelectric modulus e_max**: 0.220 C/m²
**E**: -0.32489 hartree per atom
**Spin magnetization**: 0.0 μB/cell
**Calculated formation energy**: -1.620 eV per atom



> What is the E in the eighth record?

-0.32489 hartree per atom



> Among the records above, which one has the lowest calculated formation energy?

Ca5Si2O10



> What is the calculated formation energy in the fourth record?

-1.123 eV per atom